No. 1
First-principles (GGA-PBE) data for a geometry-optimized CrFe2Se4 structure, as listed in the Materials Project.

Results
For the total energy, the calculation gives -5.91 eV/atom. Its calculated formation energy is -36.5 kJ per mole of atoms. As for the energy above the most stable polymorph in this dataset: 182 meV per atom.

```
data_CrFe2Se4
_symmetry_space_group_name_H-M 'P 1'
_symmetry_Int_Tables_number 1
_symmetry_space_group_name_Hall 'P 1'
_cell_length_a 4.612
_cell_length_b 5.933
_cell_length_c 6.401
_cell_angle_alpha 114.99
_cell_angle_beta 110.44
_cell_angle_gamma 90.44
loop_
_atom_site_label
_atom_site_type_symbol
_atom_site_fract_x
_atom_site_fract_y
_atom_site_fract_z
_atom_site_occupancy
Cr1 Cr 0.000 0.000 0.000 1
Fe1 Fe 0.540 0.535 0.770 1
Fe2 Fe 0.761 0.471 0.201 1
Se1 Se 0.309 0.420 0.314 1
Se2 Se 0.526 0.146 0.788 1
Se3 Se 0.700 0.860 0.188 1
Se4 Se 0.983 0.585 0.668 1
```

No. 2
First-principles (GGA-PBE) data for a geometry-optimized CrFe2Se4 structure, as listed in the Materials Project.

Results
For the total energy, the calculation gives -6.09 eV/atom. Its calculated formation energy is -54.1 kJ per mole of atoms. As for the energy above the most stable polymorph in this dataset: 0 meV per atom.

```
data_CrFe2Se4
_symmetry_space_group_name_H-M 'P 1'
_symmetry_Int_Tables_number 1
_symmetry_space_group_name_Hall 'P 1'
_cell_length_a 12.809
_cell_length_b 3.527
_cell_length_c 6.194
_cell_angle_alpha 90.00
_cell_angle_beta 116.97
_cell_angle_gamma 90.00
loop_
_atom_site_label
_atom_site_type_symbol
_atom_site_fract_x
_atom_site_fract_y
_atom_site_fract_z
_atom_site_occupancy
Cr1 Cr 0.000 0.000 0.000 1
Cr2 Cr 0.500 0.500 0.000 1
Fe1 Fe 0.244 0.500 0.693 1
Fe2 Fe 0.256 0.000 0.307 1
Fe3 Fe 0.744 0.000 0.693 1
Fe4 Fe 0.756 0.500 0.307 1
Se1 Se 0.113 0.000 0.457 1
Se2 Se 0.140 0.500 0.981 1
Se3 Se 0.360 0.000 0.019 1
Se4 Se 0.387 0.500 0.543 1
Se5 Se 0.613 0.500 0.457 1
Se6 Se 0.640 0.000 0.981 1
Se7 Se 0.860 0.500 0.019 1
Se8 Se 0.887 0.000 0.543 1
```

No. 3
First-principles (GGA-PBE) data for a geometry-optimized CrFe2Se4 structure, as listed in the Materials Project.

Results
For the total energy, the calculation gives -6.08 eV/atom. Its calculated formation energy is -53.6 kJ per mole of atoms. As for the energy above the most stable polymorph in this dataset: 5 meV per atom.

```
data_CrFe2Se4
_symmetry_space_group_name_H-M 'P 1'
_symmetry_Int_Tables_number 1
_symmetry_space_group_name_Hall 'P 1'
_cell_length_a 12.724
_cell_length_b 3.544
_cell_length_c 6.263
_cell_angle_alpha 90.00
_cell_angle_beta 118.65
_cell_angle_gamma 90.00
loop_
_atom_site_label
_atom_site_type_symbol
_atom_site_fract_x
_atom_site_fract_y
_atom_site_fract_z
_atom_site_occupancy
Cr1 Cr 0.000 0.000 0.000 1
Cr2 Cr 0.500 0.500 0.000 1
Fe1 Fe 0.240 0.500 0.716 1
Fe2 Fe 0.485 0.000 0.422 1
Fe3 Fe 0.740 0.000 0.716 1
Fe4 Fe 0.985 0.500 0.422 1
Se1 Se 0.108 0.000 0.738 1
Se2 Se 0.130 0.500 0.268 1
Se3 Se 0.356 0.500 0.159 1
Se4 Se 0.375 0.000 0.680 1
Se5 Se 0.608 0.500 0.738 1
Se6 Se 0.630 0.000 0.268 1
Se7 Se 0.856 0.000 0.159 1
Se8 Se 0.875 0.500 0.680 1
```

No. 4
First-principles (GGA-PBE) data for a geometry-optimized CrFe11Si4 structure, as listed in the Materials Project.

Results
For the total energy, the calculation gives -8.08 eV/atom. Its calculated formation energy is -27.1 kJ per mole of atoms.

```
data_CrFe11Si4
_symmetry_space_group_name_H-M 'P 1'
_symmetry_Int_Tables_number 1
_symmetry_space_group_name_Hall 'P 1'
_cell_length_a 13.132
_cell_length_b 13.132
_cell_length_c 13.132
_cell_angle_alpha 17.30
_cell_angle_beta 17.30
_cell_angle_gamma 17.30
loop_
_atom_site_label
_atom_site_type_symbol
_atom_site_fract_x
_atom_site_fract_y
_atom_site_fract_z
_atom_site_occupancy
Cr1 Cr 0.000 0.000 0.000 1
Fe1 Fe 0.061 0.061 0.061 1
Fe2 Fe 0.188 0.188 0.188 1
Fe3 Fe 0.249 0.249 0.249 1
Fe4 Fe 0.313 0.313 0.313 1
Fe5 Fe 0.437 0.437 0.437 1
Fe6 Fe 0.500 0.500 0.500 1
Fe7 Fe 0.563 0.563 0.563 1
Fe8 Fe 0.687 0.687 0.687 1
Fe9 Fe 0.751 0.751 0.751 1
Fe10 Fe 0.812 0.812 0.812 1
Fe11 Fe 0.939 0.939 0.939 1
Si1 Si 0.125 0.125 0.125 1
Si2 Si 0.375 0.375 0.375 1
Si3 Si 0.625 0.625 0.625 1
Si4 Si 0.875 0.875 0.875 1
```

No. 5
First-principles (GGA-PBE) data for a geometry-optimized Sm2Cr2Fe15 structure, as listed in the Materials Project.

Results
For the total energy, the calculation gives -8.16 eV/atom. Its calculated formation energy is 4.2 kJ per mole of atoms.

```
data_Sm2Cr2Fe15
_symmetry_space_group_name_H-M 'P 1'
_symmetry_Int_Tables_number 1
_symmetry_space_group_name_Hall 'P 1'
_cell_length_a 6.401
_cell_length_b 6.401
_cell_length_c 6.401
_cell_angle_alpha 82.29
_cell_angle_beta 82.29
_cell_angle_gamma 82.29
loop_
_atom_site_label
_atom_site_type_symbol
_atom_site_fract_x
_atom_site_fract_y
_atom_site_fract_z
_atom_site_occupancy
Sm1 Sm 0.158 0.158 0.158 1
Sm2 Sm 0.842 0.842 0.842 1
Cr1 Cr 0.414 0.414 0.414 1
Cr2 Cr 0.586 0.586 0.586 1
Fe1 Fe 0.000 0.500 0.500 1
Fe2 Fe 0.161 0.161 0.655 1
Fe3 Fe 0.161 0.655 0.161 1
Fe4 Fe 0.202 0.500 0.798 1
Fe5 Fe 0.202 0.798 0.500 1
Fe6 Fe 0.345 0.839 0.839 1
Fe7 Fe 0.500 0.000 0.500 1
Fe8 Fe 0.500 0.202 0.798 1
Fe9 Fe 0.500 0.500 0.000 1
Fe10 Fe 0.500 0.798 0.202 1
Fe11 Fe 0.655 0.161 0.161 1
Fe12 Fe 0.798 0.202 0.500 1
Fe13 Fe 0.798 0.500 0.202 1
Fe14 Fe 0.839 0.345 0.839 1
Fe15 Fe 0.839 0.839 0.345 1
```

No. 6
First-principles (GGA-PBE) data for a geometry-optimized Ta2CrFe structure, as listed in the Materials Project.

Results
For the total energy, the calculation gives -10.59 eV/atom. Its calculated formation energy is -12.6 kJ per mole of atoms.

```
data_Ta2CrFe
_symmetry_space_group_name_H-M 'P 1'
_symmetry_Int_Tables_number 1
_symmetry_space_group_name_Hall 'P 1'
_cell_length_a 6.149
_cell_length_b 6.149
_cell_length_c 6.149
_cell_angle_alpha 90.00
_cell_angle_beta 90.00
_cell_angle_gamma 90.00
loop_
_atom_site_label
_atom_site_type_symbol
_atom_site_fract_x
_atom_site_fract_y
_atom_site_fract_z
_atom_site_occupancy
Ta1 Ta 0.250 0.250 0.250 1
Ta2 Ta 0.250 0.250 0.750 1
Ta3 Ta 0.250 0.750 0.250 1
Ta4 Ta 0.250 0.750 0.750 1
Ta5 Ta 0.750 0.250 0.250 1
Ta6 Ta 0.750 0.250 0.750 1
Ta7 Ta 0.750 0.750 0.250 1
Ta8 Ta 0.750 0.750 0.750 1
Cr1 Cr 0.000 0.000 0.000 1
Cr2 Cr 0.000 0.500 0.500 1
Cr3 Cr 0.500 0.000 0.500 1
Cr4 Cr 0.500 0.500 0.000 1
Fe1 Fe 0.000 0.000 0.500 1
Fe2 Fe 0.000 0.500 0.000 1
Fe3 Fe 0.500 0.000 0.000 1
Fe4 Fe 0.500 0.500 0.500 1
```

No. 7
First-principles (GGA-PBE) data for a geometry-optimized U24CrFe3 structure, as listed in the Materials Project.

Results
For the total energy, the calculation gives -10.91 eV/atom. Its calculated formation energy is 1.6 kJ per mole of atoms.

```
data_U24CrFe3
_symmetry_space_group_name_H-M 'P 1'
_symmetry_Int_Tables_number 1
_symmetry_space_group_name_Hall 'P 1'
_cell_length_a 7.663
_cell_length_b 7.663
_cell_length_c 14.370
_cell_angle_alpha 90.00
_cell_angle_beta 90.00
_cell_angle_gamma 140.10
loop_
_atom_site_label
_atom_site_type_symbol
_atom_site_fract_x
_atom_site_fract_y
_atom_site_fract_z
_atom_site_occupancy
U1 U 0.000 0.500 0.658 1
U2 U 0.000 0.500 0.843 1
U3 U 0.087 0.405 0.441 1
U4 U 0.091 0.408 0.061 1
U5 U 0.093 0.406 0.247 1
U6 U 0.188 0.307 0.660 1
U7 U 0.193 0.307 0.842 1
U8 U 0.307 0.188 0.340 1
U9 U 0.307 0.193 0.158 1
U10 U 0.405 0.087 0.559 1
U11 U 0.406 0.093 0.753 1
U12 U 0.408 0.091 0.939 1
U13 U 0.500 0.000 0.157 1
U14 U 0.500 0.000 0.342 1
U15 U 0.592 0.909 0.939 1
U16 U 0.594 0.907 0.753 1
U17 U 0.595 0.913 0.559 1
U18 U 0.693 0.807 0.158 1
U19 U 0.693 0.812 0.340 1
U20 U 0.807 0.693 0.842 1
U21 U 0.812 0.693 0.660 1
U22 U 0.907 0.594 0.247 1
U23 U 0.909 0.592 0.061 1
U24 U 0.913 0.595 0.441 1
Cr1 Cr 0.500 0.500 0.500 1
Fe1 Fe 0.000 0.000 0.000 1
Fe2 Fe 0.000 0.000 0.500 1
Fe3 Fe 0.500 0.500 0.000 1
```

No. 8
First-principles (GGA-PBE) data for a geometry-optimized UCrFe structure, as listed in the Materials Project.

Results
For the total energy, the calculation gives -9.80 eV/atom. Its calculated formation energy is 0.8 kJ per mole of atoms.

```
data_UCrFe
_symmetry_space_group_name_H-M 'P 1'
_symmetry_Int_Tables_number 1
_symmetry_space_group_name_Hall 'P 1'
_cell_length_a 4.432
_cell_length_b 5.185
_cell_length_c 7.548
_cell_angle_alpha 90.00
_cell_angle_beta 90.00
_cell_angle_gamma 90.00
loop_
_atom_site_label
_atom_site_type_symbol
_atom_site_fract_x
_atom_site_fract_y
_atom_site_fract_z
_atom_site_occupancy
U1 U 0.000 0.250 0.138 1
U2 U 0.000 0.750 0.862 1
U3 U 0.500 0.250 0.362 1
U4 U 0.500 0.750 0.638 1
Cr1 Cr 0.250 0.250 0.750 1
Cr2 Cr 0.250 0.750 0.250 1
Cr3 Cr 0.750 0.250 0.750 1
Cr4 Cr 0.750 0.750 0.250 1
Fe1 Fe 0.000 0.000 0.500 1
Fe2 Fe 0.000 0.500 0.500 1
Fe3 Fe 0.500 0.000 0.000 1
Fe4 Fe 0.500 0.500 0.000 1
```